No. 1
DFT (GGA-PBE) results for an optimized crystal structure of Y7Cu3Si3Se21.

a b c (Å): 10.220 10.245 18.052
angles (deg): 89.98 89.76 60.47
Atoms (fractional coordinates):
Y 0.000 0.000 0.000
Y 0.002 0.002 0.337
Y 0.004 0.998 0.669
Y 0.136 0.640 0.503
Y 0.139 0.638 0.171
Y 0.231 0.131 0.837
Y 0.232 0.133 0.170
Y 0.488 0.419 0.672
Y 0.495 0.412 0.002
Y 0.586 0.910 0.671
Y 0.588 0.906 0.337
Y 0.718 0.548 0.170
Y 0.722 0.545 0.837
Y 0.725 0.545 0.499
Cu 0.358 0.771 0.851
Cu 0.359 0.775 0.186
Cu 0.360 0.781 0.519
Cu 0.362 0.773 0.686
Cu 0.363 0.770 0.351
Cu 0.368 0.775 0.019
Si 0.027 0.441 0.308
Si 0.030 0.436 0.641
Si 0.031 0.440 0.972
Si 0.695 0.107 0.472
Si 0.695 0.107 0.809
Si 0.696 0.101 0.142
Se 0.026 0.443 0.432
Se 0.027 0.436 0.766
Se 0.028 0.440 0.099
Se 0.097 0.938 0.179
Se 0.101 0.936 0.511
Se 0.102 0.936 0.843
Se 0.196 0.677 0.675
Se 0.197 0.678 0.343
Se 0.201 0.678 0.016
Se 0.261 0.035 0.013
Se 0.262 0.356 0.259
Se 0.262 0.357 0.589
Se 0.263 0.035 0.682
Se 0.266 0.031 0.341
Se 0.266 0.347 0.926
Se 0.458 0.196 0.758
Se 0.458 0.199 0.093
Se 0.459 0.515 0.175
Se 0.460 0.512 0.846
Se 0.460 0.518 0.516
Se 0.464 0.184 0.426
Se 0.524 0.876 0.510
Se 0.525 0.866 0.840
Se 0.526 0.871 0.182
Se 0.622 0.609 0.346
Se 0.624 0.610 0.679
Se 0.626 0.614 0.010
Se 0.694 0.110 0.932
Se 0.695 0.108 0.600
Se 0.697 0.101 0.266
Se 0.781 0.254 0.090
Se 0.781 0.257 0.754
Se 0.789 0.250 0.426
Se 0.841 0.875 0.759
Se 0.846 0.871 0.087
Se 0.847 0.869 0.424
Se 0.874 0.671 0.926
Se 0.878 0.675 0.256
Se 0.880 0.674 0.590
Se 0.934 0.295 0.590
Se 0.939 0.293 0.257
Se 0.942 0.289 0.924

energy of formation from the pure elements = -1.29 eV/atom
total DFT energy (no corrections) = -5.331 eV/atom
total moment = 0.08 μB per formula unit
symmetry = P1

---

No. 2
DFT (GGA-PBE) results for an optimized crystal structure of Sm2Fe17B3.

a b c (Å): 6.567 6.567 6.567
angles (deg): 84.00 84.00 84.00
Atoms (fractional coordinates):
Sm 0.157 0.157 0.157
Sm 0.843 0.843 0.843
Fe 0.000 0.500 0.500
Fe 0.162 0.162 0.650
Fe 0.162 0.650 0.162
Fe 0.220 0.500 0.780
Fe 0.220 0.780 0.500
Fe 0.350 0.838 0.838
Fe 0.405 0.405 0.405
Fe 0.500 0.000 0.500
Fe 0.500 0.220 0.780
Fe 0.500 0.500 0.000
Fe 0.500 0.780 0.220
Fe 0.595 0.595 0.595
Fe 0.650 0.162 0.162
Fe 0.780 0.220 0.500
Fe 0.780 0.500 0.220
Fe 0.838 0.350 0.838
Fe 0.838 0.838 0.350
B 0.000 0.000 0.500
B 0.000 0.500 0.000
B 0.500 0.000 0.000

energy of formation from the pure elements = -0.06 eV/atom
total DFT energy (no corrections) = -7.942 eV/atom
total moment = 35.20 μB per formula unit
symmetry = R-3m

---

No. 3
DFT (GGA-PBE) results for an optimized crystal structure of MoPd2.

a b c (Å): 4.807 4.807 4.807
angles (deg): 146.40 131.26 60.50
Atoms (fractional coordinates):
Mo 0.000 0.000 0.000
Pd 0.335 0.335 0.000
Pd 0.665 0.665 0.000

energy of formation from the pure elements = -0.10 eV/atom
total DFT energy (no corrections) = -7.172 eV/atom
symmetry = Immm

---

No. 4
DFT (GGA-PBE) results for an optimized crystal structure of TbMgNi.

a b c (Å): 9.008 9.008 3.959
angles (deg): 90.00 90.00 156.42
Atoms (fractional coordinates):
Tb 0.087 0.913 0.750
Tb 0.913 0.087 0.250
Mg 0.298 0.702 0.750
Mg 0.702 0.298 0.250
Ni 0.457 0.543 0.750
Ni 0.543 0.457 0.250

energy of formation from the pure elements = -0.31 eV/atom
total DFT energy (no corrections) = -4.315 eV/atom
symmetry = Cmcm

---

No. 5
DFT (GGA-PBE) results for an optimized crystal structure of NdSi2Au2.

a b c (Å): 5.986 5.986 5.986
angles (deg): 137.44 137.44 61.75
Atoms (fractional coordinates):
Nd 0.000 0.000 0.000
Si 0.386 0.386 0.000
Si 0.614 0.614 0.000
Au 0.250 0.750 0.500
Au 0.750 0.250 0.500

energy of formation from the pure elements = -0.61 eV/atom
total DFT energy (no corrections) = -5.048 eV/atom
symmetry = I4/mmm

---

No. 6
DFT (GGA-PBE) results for an optimized crystal structure of NaNdTi2O6.

a b c (Å): 7.735 5.509 5.472
angles (deg): 90.00 90.00 90.00
Atoms (fractional coordinates):
Na 0.000 0.235 0.000
Na 0.500 0.765 0.500
Nd 0.000 0.716 0.512
Nd 0.500 0.284 0.012
Ti 0.249 0.245 0.505
Ti 0.251 0.755 0.005
Ti 0.749 0.755 0.005
Ti 0.751 0.245 0.505
O 0.000 0.264 0.439
O 0.000 0.761 0.080
O 0.211 0.967 0.719
O 0.214 0.476 0.775
O 0.286 0.524 0.275
O 0.289 0.033 0.219
O 0.500 0.239 0.580
O 0.500 0.736 0.939
O 0.711 0.033 0.219
O 0.714 0.524 0.275
O 0.786 0.476 0.775
O 0.789 0.967 0.719

energy of formation from the pure elements = -3.41 eV/atom
total DFT energy (no corrections) = -8.152 eV/atom
total moment = 0.00 μB per formula unit
symmetry = Pmn2_1

---

No. 7
DFT (GGA-PBE) results for an optimized crystal structure of BaAl2Si2O10.

a b c (Å): 5.379 37.267 8.094
angles (deg): 90.00 90.22 90.00
Atoms (fractional coordinates):
Ba 0.000 0.000 0.000
Ba 0.012 0.249 0.999
Ba 0.012 0.751 0.999
Ba 0.020 0.500 0.004
Ba 0.500 0.126 0.002
Ba 0.500 0.874 0.002
Ba 0.522 0.376 0.999
Ba 0.522 0.624 0.999
Al 0.003 0.084 0.248
Al 0.003 0.168 0.250
Al 0.003 0.832 0.250
Al 0.003 0.916 0.248
Al 0.020 0.417 0.259
Al 0.020 0.583 0.259
Al 0.025 0.334 0.258
Al 0.025 0.666 0.258
Al 0.503 0.042 0.247
Al 0.503 0.210 0.252
Al 0.503 0.790 0.252
Al 0.503 0.958 0.247
Al 0.520 0.458 0.260
Al 0.520 0.542 0.260
Al 0.525 0.293 0.256
Al 0.525 0.707 0.256
Si 0.008 0.083 0.660
Si 0.008 0.917 0.660
Si 0.010 0.166 0.662
Si 0.010 0.834 0.662
Si 0.020 0.333 0.670
Si 0.020 0.667 0.670
Si 0.022 0.417 0.672
Si 0.022 0.583 0.672
Si 0.507 0.042 0.660
Si 0.507 0.958 0.660
Si 0.511 0.208 0.664
Si 0.511 0.792 0.664
Si 0.519 0.292 0.669
Si 0.519 0.708 0.669
Si 0.522 0.458 0.673
Si 0.522 0.542 0.673
O 0.001 0.000 0.388
O 0.005 0.083 0.465
O 0.005 0.917 0.465
O 0.007 0.000 0.540
O 0.009 0.167 0.468
O 0.009 0.833 0.468
O 0.011 0.125 0.741
O 0.011 0.875 0.741
O 0.014 0.249 0.399
O 0.014 0.250 0.551
O 0.014 0.750 0.551
O 0.014 0.751 0.399
O 0.020 0.333 0.476
O 0.020 0.375 0.752
O 0.020 0.625 0.752
O 0.020 0.667 0.476
O 0.021 0.500 0.561
O 0.022 0.417 0.478
O 0.022 0.583 0.478
O 0.024 0.500 0.409
O 0.258 0.062 0.740
O 0.258 0.938 0.740
O 0.261 0.187 0.743
O 0.261 0.813 0.743
O 0.270 0.312 0.750
O 0.270 0.688 0.750
O 0.273 0.437 0.753
O 0.273 0.563 0.753
O 0.291 0.179 0.166
O 0.291 0.821 0.166
O 0.293 0.073 0.165
O 0.293 0.927 0.165
O 0.316 0.426 0.180
O 0.316 0.574 0.180
O 0.325 0.326 0.181
O 0.325 0.674 0.181
O 0.422 0.000 0.166
O 0.424 0.252 0.173
O 0.424 0.748 0.173
O 0.428 0.500 0.180
O 0.505 0.042 0.465
O 0.505 0.958 0.465
O 0.507 0.125 0.389
O 0.507 0.125 0.541
O 0.507 0.875 0.389
O 0.507 0.875 0.541
O 0.508 0.208 0.469
O 0.508 0.792 0.469
O 0.509 0.000 0.740
O 0.515 0.250 0.747
O 0.515 0.750 0.747
O 0.519 0.375 0.562
O 0.519 0.625 0.562
O 0.520 0.292 0.474
O 0.520 0.708 0.474
O 0.521 0.500 0.753
O 0.522 0.458 0.478
O 0.522 0.542 0.478
O 0.525 0.376 0.410
O 0.525 0.624 0.410
O 0.758 0.062 0.740
O 0.758 0.938 0.740
O 0.761 0.187 0.743
O 0.761 0.813 0.743
O 0.771 0.312 0.750
O 0.771 0.688 0.750
O 0.773 0.438 0.753
O 0.773 0.562 0.753
O 0.791 0.198 0.169
O 0.791 0.802 0.169
O 0.793 0.053 0.165
O 0.793 0.947 0.165
O 0.816 0.449 0.180
O 0.816 0.551 0.180
O 0.824 0.301 0.178
O 0.824 0.699 0.178
O 0.923 0.126 0.167
O 0.923 0.874 0.167
O 0.927 0.375 0.179
O 0.927 0.625 0.179

energy of formation from the pure elements = -2.64 eV/atom
total DFT energy (no corrections) = -7.180 eV/atom
total moment = 2.00 μB per formula unit
symmetry = Pm

---

No. 8
DFT (GGA-PBE) results for an optimized crystal structure of PrAg2.

a b c (Å): 4.846 4.846 3.623
angles (deg): 90.00 90.00 120.00
Atoms (fractional coordinates):
Pr 0.000 0.000 0.000
Ag 0.333 0.667 0.500
Ag 0.667 0.333 0.500

energy of formation from the pure elements = -0.27 eV/atom
total DFT energy (no corrections) = -3.754 eV/atom
symmetry = P6/mmm

---

No. 9
DFT (GGA-PBE) results for an optimized crystal structure of Ni4Sn3Sb9.

a b c (Å): 7.999 7.999 9.179
angles (deg): 125.00 125.00 71.48
Atoms (fractional coordinates):
Ni 0.248 0.748 0.497
Ni 0.248 0.752 0.000
Ni 0.748 0.248 0.497
Ni 0.752 0.248 0.000
Sn 0.083 0.083 0.491
Sn 0.414 0.414 0.505
Sn 0.415 0.415 0.823
Sb 0.085 0.085 0.176
Sb 0.245 0.571 0.157
Sb 0.254 0.925 0.837
Sb 0.571 0.245 0.157
Sb 0.589 0.908 0.663
Sb 0.591 0.908 0.333
Sb 0.908 0.589 0.663
Sb 0.908 0.591 0.333
Sb 0.925 0.254 0.837

energy of formation from the pure elements = -0.25 eV/atom
total DFT energy (no corrections) = -4.663 eV/atom
total moment = 0.00 μB per formula unit
symmetry = Cm

---

No. 10
DFT (GGA-PBE) results for an optimized crystal structure of DyCdAu2.

a b c (Å): 4.941 4.941 4.941
angles (deg): 60.00 60.00 60.00
Atoms (fractional coordinates):
Dy 0.000 0.000 0.000
Cd 0.500 0.500 0.500
Au 0.250 0.250 0.250
Au 0.750 0.750 0.750

energy of formation from the pure elements = -0.67 eV/atom
total DFT energy (no corrections) = -3.692 eV/atom
symmetry = Fm-3m

---

No. 11
DFT (GGA-PBE) results for an optimized crystal structure of LiMg2Ag.

a b c (Å): 4.727 4.727 4.727
angles (deg): 60.00 60.00 60.00
Atoms (fractional coordinates):
Li 0.000 0.000 0.000
Mg 0.250 0.250 0.250
Mg 0.750 0.750 0.750
Ag 0.500 0.500 0.500

energy of formation from the pure elements = -0.22 eV/atom
total DFT energy (no corrections) = -2.201 eV/atom
symmetry = Fm-3m

---

No. 12
DFT (GGA-PBE) results for an optimized crystal structure of CaHf4Pb4O12.

a b c (Å): 6.060 6.103 8.395
angles (deg): 89.46 87.26 89.30
Atoms (fractional coordinates):
Ca 0.000 0.000 0.000
Hf 0.380 0.978 0.576
Hf 0.465 0.986 0.080
Hf 0.885 0.486 0.583
Hf 0.921 0.492 0.078
Pb 0.340 0.483 0.318
Pb 0.386 0.460 0.816
Pb 0.847 0.981 0.693
Pb 0.881 0.962 0.349
O 0.144 0.233 0.552
O 0.159 0.730 0.568
O 0.199 0.260 0.107
O 0.210 0.728 0.092
O 0.374 0.016 0.837
O 0.462 0.976 0.332
O 0.607 0.698 0.626
O 0.624 0.268 0.596
O 0.698 0.239 0.072
O 0.707 0.754 0.056
O 0.911 0.521 0.334
O 0.960 0.476 0.829

energy of formation from the pure elements = -2.74 eV/atom
total DFT energy (no corrections) = -7.877 eV/atom
total moment = 0.00 μB per formula unit
symmetry = P1